Li6Mn5FeB6O18 | PBE+U | optimized geometry

Energy, eV/atom: -7.257
Symmetry: P1, No. 1

Cell and atoms, written as POSCAR:
```
Li6Mn5FeB6O18
1.0
-7.1626 -1.4036 3.8950
0.1675 0.5984 -8.2527
2.0200 -12.5376 -0.8830
B O Li Mn Fe
12 36 12 10 2
Cartesian
-2.0127 -1.6447 -4.3158 B
-2.9521 -11.7071 -0.9276 B
-1.5089 -4.7670 -4.5289 B
1.0096 -6.2666 -0.4618 B
-1.0164 -7.8952 -4.7448 B
-3.9608 -5.4380 -0.4938 B
-0.5073 -11.0394 -4.9757 B
-4.4708 -2.3201 -0.2703 B
-5.4793 -10.2079 -5.0189 B
-3.4539 -8.5565 -0.7074 B
-7.1620 -1.4050 3.8939 B
0.6596 -2.5399 -8.4622 B
-0.9666 -4.7848 -3.2469 O
-3.3838 -5.4305 0.7699 O
-2.1685 -11.5000 -2.0558 O
-1.3723 -0.2254 0.1073 O
-3.6866 -2.1088 -1.3957 O
-0.6939 -4.5412 -5.6386 O
-5.5609 -7.4899 2.1864 O
-2.8776 -4.9765 -4.7035 O
-0.2014 -7.6975 -5.8595 O
-5.2188 -7.0313 -3.6582 O
0.0475 -11.0374 -3.6982 O
-6.2014 -0.7619 -3.2115 O
-0.8799 -3.3612 -0.1151 O
-5.7214 -3.9101 -3.4079 O
-3.8935 -2.2993 0.9923 O
-6.5817 -1.2257 2.6376 O
-1.8756 -11.2442 -5.1403 O
-5.3313 -5.6142 -0.6310 O
-3.3830 -1.8410 -4.4830 O
0.3044 -10.8365 -6.0894 O
-3.1662 -5.2675 -1.6214 O
-2.8709 -8.5667 0.5533 O
-4.3189 -11.9201 -1.0604 O
-0.4698 -7.8865 -3.4650 O
0.1427 -9.6259 -0.5533 O
-2.3832 -8.1064 -4.9181 O
-0.3703 -6.4901 -0.3768 O
-4.6868 -10.1623 -3.8711 O
-4.8198 -8.7714 -0.8438 O
-6.0691 -4.3607 2.4418 O
-5.0670 -10.6269 1.9775 O
-5.8382 -2.5477 -0.4068 O
-1.1937 -1.4468 -5.4239 O
-1.4652 -1.6408 -3.0347 O
-2.6690 -8.3380 -1.8336 O
-2.3683 -11.7016 0.3332 O
-0.3870 -11.3832 0.2575 Li
-3.7510 -8.4208 -3.5269 Li
-0.8950 -8.2512 0.4778 Li
-6.7391 -2.7789 1.3766 Li
-6.2371 -5.9099 1.1481 Li
-5.7335 -9.0437 0.9289 Li
-1.4021 -5.1136 0.7033 Li
-5.2246 -12.1799 0.7112 Li
-4.2541 -5.2918 -3.3057 Li
-4.7586 -2.1528 -3.0848 Li
-1.9030 -1.9824 0.9247 Li
-3.2446 -11.5572 -3.7487 Li
-2.0075 -3.4338 -1.8893 Mn
-2.3191 -12.8288 -6.5886 Mn
0.0229 0.3512 -5.2440 Mn
-0.9983 -9.6686 -2.3244 Mn
1.0284 -5.8880 -5.6718 Mn
1.5385 -9.0370 -5.9023 Mn
-3.8260 -3.4266 -5.9295 Mn
-2.8233 -9.6950 -6.3676 Mn
-3.3213 -6.5600 -6.1495 Mn
-2.5130 -0.2831 -1.6623 Mn
-1.5034 -6.5514 -2.0662 Fe
0.5527 -2.7501 -5.4708 Fe
```


Li8Mn7FeB8O24 | PBE+U | optimized geometry

Energy, eV/atom: -7.268
Symmetry: P1, No. 1

Cell and atoms, written as POSCAR:
```
Li8Mn7FeB8O24
1.0
5.1858 0.0000 0.0000
2.3764 5.5568 0.0000
2.2258 1.0223 17.7107
Fe O Mn B Li
1 24 7 8 8
Cartesian
2.9330 3.3857 3.3030 Fe
7.0534 5.5615 14.6159 O
7.5904 3.1723 16.3783 O
4.6307 5.1617 16.7808 O
6.7278 1.0399 13.8708 O
2.1221 1.1386 10.1859 O
4.8997 5.8309 5.3760 O
4.9229 3.0340 3.4831 O
2.3386 1.8846 7.9008 O
2.2053 3.4147 1.3711 O
7.6640 5.4390 7.5180 O
4.8930 0.7492 12.3313 O
7.4504 4.6976 9.8053 O
4.8194 3.5637 14.2357 O
5.0348 4.3079 11.9511 O
4.1722 2.1744 9.4428 O
6.8044 3.3046 4.9612 O
3.0643 5.5316 3.8368 O
5.5405 2.1374 17.1255 O
5.6152 4.4039 8.2676 O
4.7633 2.2800 5.7637 O
2.7323 1.0264 3.0946 O
2.9851 3.2704 12.6958 O
4.2501 4.4412 0.5885 O
5.1511 1.4113 0.9528 O
2.0371 1.0205 1.1285 Mn
2.8215 1.1383 12.1599 Mn
5.4519 2.2691 7.7360 Mn
4.3359 4.3073 9.9777 Mn
6.9723 5.4290 5.5371 Mn
6.8912 3.1732 14.4066 Mn
7.7510 5.5625 16.5895 Mn
1.9947 0.4103 4.1045 B
2.8611 1.7482 9.1740 B
7.7926 6.1705 13.6034 B
2.9356 4.0148 0.3425 B
5.4861 2.8873 4.7432 B
6.8518 2.5652 17.3912 B
6.9265 4.8315 8.5327 B
4.2961 3.6982 12.9627 B
5.1281 5.4663 14.9184 Li
4.3291 3.2672 16.0846 Li
5.4567 3.3139 1.6296 Li
4.4056 5.5354 7.2237 Li
2.8270 2.1779 6.0408 Li
4.6535 1.1017 2.7949 Li
5.3835 1.0440 10.4843 Li
6.9596 4.4014 11.6542 Li
```


Li2MnFeB2O6 | PBE+U | optimized geometry

Energy, eV/atom: -7.123
Excess energy over the best structure of this formula in the dataset, eV per atom: 0.002
Symmetry: Pm, No. 6

Cell and atoms, written as POSCAR:
```
Li2MnFeB2O6
1.0
-4.3002 -0.1068 4.6346
-4.3832 -5.5979 -4.1960
1.4382 -8.0566 1.1487
B Li O Mn Fe
6 6 18 3 3
Cartesian
-3.0554 -9.1158 -0.8724 B
-2.0481 -4.5806 0.1637 B
-0.0067 -0.0167 -0.0066 B
-4.1854 -4.6337 2.4672 B
-5.1897 -9.1688 1.4278 B
-0.7220 -8.1062 3.4567 B
-5.9309 -6.5231 0.8121 Li
-4.3573 -11.2945 -2.1428 Li
-0.9787 -9.6413 1.0234 Li
-6.5037 -11.3478 0.1705 Li
-3.1319 -9.6947 3.3439 Li
-3.7856 -6.4698 -1.5001 Li
-5.2037 -4.8133 1.5271 O
0.4711 -8.5145 0.2408 O
-1.6951 -8.5244 2.5442 O
-2.7597 -12.3078 -2.8443 O
-1.4291 -5.6897 0.7260 O
-2.3927 -10.1935 -0.2992 O
-4.9016 -12.3495 -0.5191 O
-3.8120 -3.3492 2.8542 O
-6.2022 -9.3864 0.4978 O
-4.5437 -10.2469 2.0191 O
-4.8284 -7.8750 1.7738 O
-3.5528 -5.7425 3.0150 O
-1.6638 -3.2958 0.5389 O
-3.0576 -4.7600 -0.7860 O
-3.6155 -6.5450 -3.5055 O
-2.7131 -7.8225 -0.5060 O
-5.7869 -6.5973 -1.2080 O
-4.0535 -9.3331 -1.8180 O
-2.7363 -3.6117 -2.6221 Mn
-4.8800 -3.6589 -0.2988 Mn
-0.6716 -7.0733 -0.7862 Mn
-1.6685 -2.9962 2.6963 Fe
0.4814 -2.9372 0.3790 Fe
-2.8131 -7.1702 1.5381 Fe
```


| no. | volume (A^3/atom) | formation enthalpy at 0 K (eV per atom) |
| --- | --- | --- |
| 1 | 10.49 | -2.482 |
| 2 | 10.63 | -2.484 |
| 3 | 10.39 | -2.418 |